1.
Here is crystalline Zr2Cr3Fe at its relaxed geometry from Materials Project. Energies are from GGA-PBE.

Unit cell a=5.0326 b=5.0326 c=8.1420 alpha=90.00 beta=90.00 gamma=119.27
With the nearest neighbours (Å) after each atom.
Sites, in units of the cell vectors:
Zr 0.3332 0.6668 0.8082  10 Cr 2.88-2.98, 2 Fe 2.90, 4 Zr 3.06-3.12
Zr 0.3332 0.6668 0.1918  10 Cr 2.88-2.98, 2 Fe 2.90, 4 Zr 3.06-3.12
Zr 0.6659 0.3341 0.3138  8 Cr 2.93-2.97, 4 Fe 2.94, 4 Zr 3.03-3.09
Zr 0.6659 0.3341 0.6862  8 Cr 2.93-2.97, 4 Fe 2.94, 4 Zr 3.03-3.09
Cr 0.9998 0.0002 0.2529  2 Fe 2.50, 4 Cr 2.50-2.54
Cr 0.8321 0.6624 0.0000  6 Cr 2.49-2.57
Cr 0.3376 0.1679 0.0000  6 Cr 2.49-2.57
Cr 0.1703 0.8297 0.5000  4 Fe 2.47-2.56, 2 Cr 2.50
Cr 0.9998 0.0002 0.7471  2 Fe 2.50, 4 Cr 2.50-2.54
Cr 0.8321 0.1679 0.0000  6 Cr 2.49-2.54
Fe 0.1673 0.3372 0.5000  4 Cr 2.47-2.56, 2 Fe 2.52-2.57
Fe 0.6628 0.8327 0.5000  4 Cr 2.47-2.56, 2 Fe 2.52-2.57

* formation enthalpy at 0 K: -0.07 eV per atom
* raw total energy: -54.92 eV per formula unit
* V: 90 Å³/f.u.



2.
Here is crystalline Zr2CrFe3 at its relaxed geometry from Materials Project. Energies are from GGA-PBE.

Unit cell a=4.9845 b=4.9845 c=8.2526 alpha=90.00 beta=90.00 gamma=120.79
With the nearest neighbours (Å) after each atom.
Sites, in units of the cell vectors:
Cr 0.8292 0.6614 0.0000  2 Cr 2.42-2.51, 4 Fe 2.46-2.53
Cr 0.3386 0.1708 0.0000  2 Cr 2.42-2.51, 4 Fe 2.46-2.53
Zr 0.3344 0.6656 0.8105  8 Fe 2.89-2.95, 4 Cr 2.93-2.96, 4 Zr 3.04-3.13
Zr 0.6667 0.3333 0.6852  10 Fe 2.90-2.96, 2 Cr 2.95, 4 Zr 3.04-3.06
Zr 0.3344 0.6656 0.1895  8 Fe 2.89-2.95, 4 Cr 2.93-2.96, 4 Zr 3.04-3.13
Zr 0.6667 0.3333 0.3148  10 Fe 2.90-2.96, 2 Cr 2.95, 4 Zr 3.04-3.06
Fe 0.9994 0.0006 0.7516  2 Cr 2.51, 4 Fe 2.52-2.53
Fe 0.6667 0.8329 0.5000  6 Fe 2.46-2.52
Fe 0.1666 0.8334 0.5000  6 Fe 2.49-2.53
Fe 0.1671 0.3333 0.5000  6 Fe 2.46-2.52
Fe 0.9994 0.0006 0.2484  2 Cr 2.51, 4 Fe 2.52-2.53
Fe 0.8306 0.1694 0.0000  4 Cr 2.46-2.53, 2 Fe 2.52

* formation enthalpy at 0 K: -0.19 eV per atom
* raw total energy: -53.31 eV per formula unit
* V: 88 Å³/f.u.



3.
Here is crystalline Zr2CrFe3 at its relaxed geometry from Materials Project. Energies are from GGA-PBE.

Unit cell a=4.9826 b=4.9826 c=8.0728 alpha=90.00 beta=90.00 gamma=120.00
With the nearest neighbours (Å) after each atom.
Sites, in units of the cell vectors:
Fe 0.3357 0.1678 0.7500  4 Fe 2.47-2.51, 2 Cr 2.48
Fe 0.6643 0.8322 0.2500  4 Fe 2.47-2.51, 2 Cr 2.48
Fe 0.8322 0.1678 0.7500  4 Fe 2.47-2.51, 2 Cr 2.48
Fe 0.1678 0.8322 0.2500  4 Fe 2.47-2.51, 2 Cr 2.48
Fe 0.1678 0.3357 0.2500  4 Fe 2.47-2.51, 2 Cr 2.48
Fe 0.8322 0.6643 0.7500  4 Fe 2.47-2.51, 2 Cr 2.48
Cr 0.0000 0.0000 0.5000  6 Fe 2.48
Cr 0.0000 0.0000 0.0000  6 Fe 2.48
Zr 0.6667 0.3333 0.4373  9 Fe 2.90-2.91, 3 Cr 2.92, 4 Zr 3.02-3.05
Zr 0.3333 0.6667 0.5627  9 Fe 2.90-2.91, 3 Cr 2.92, 4 Zr 3.02-3.05
Zr 0.6667 0.3333 0.0627  9 Fe 2.90-2.91, 3 Cr 2.92, 4 Zr 3.02-3.05
Zr 0.3333 0.6667 0.9373  9 Fe 2.90-2.91, 3 Cr 2.92, 4 Zr 3.02-3.05

* formation enthalpy at 0 K: -0.18 eV per atom
* raw total energy: -53.25 eV per formula unit
* V: 87 Å³/f.u.